# 1
MgCr2S4: optimized geometry, PBE.

POSCAR file:
```
MgCr2S4
1.0
0.000 5.101 5.101
5.101 0.000 5.101
5.101 5.101 0.000
Mg Cr S
2 4 8
Cartesian
7.652 7.652 7.652
5.101 5.101 5.101
3.826 1.275 3.826
3.826 3.826 1.275
1.275 3.826 3.826
1.275 1.275 1.275
6.241 9.063 6.241
6.512 6.512 3.691
3.691 3.691 3.691
3.691 6.512 6.512
9.063 9.063 9.063
9.063 6.241 6.241
6.512 3.691 6.512
6.241 6.241 9.063
```

Values from the calculation:
**Energy above the lowest structure with this stoichiometry**: 0 meV per atom
**SG**: Fd-3m, No. 227
**VASP energy**: -6.27 eV/atom



# 2
MgCr2S4: optimized geometry, PBE.

POSCAR file:
```
MgCr2S4
1.0
5.406 0.000 -2.459
-1.029 4.661 -2.263
-0.347 -0.150 6.410
Mg Cr S
1 2 4
Cartesian
1.767 4.041 -1.631
0.377 3.382 1.061
4.913 -0.111 3.863
4.001 4.041 -2.646
2.903 0.374 2.943
1.394 1.710 -0.095
-0.251 2.897 3.181
```

Values from the calculation:
**Energy above the lowest structure with this stoichiometry**: 326 meV per atom
**SG**: C2, No. 5
**VASP energy**: -5.94 eV/atom
**Total magnetization**: 6.0 μB per formula unit



# 3
MgCr4S8: optimized geometry, PBE.

POSCAR file:
```
MgCr4S8
1.0
-0.139 -6.540 -0.508
7.710 -3.431 -0.216
4.906 -3.824 5.652
Mg Cr S
1 4 8
Cartesian
7.774 -8.624 3.098
5.416 -6.900 2.067
3.189 -5.236 3.075
5.488 -3.533 2.329
4.688 -5.026 -0.053
5.355 -8.618 3.632
9.511 -10.256 3.786
5.274 -5.339 3.821
6.606 -5.149 1.013
3.495 -3.619 1.388
6.685 -8.431 0.876
9.572 -7.184 4.020
3.431 -6.585 1.158
```

Values from the calculation:
**Energy above the lowest structure with this stoichiometry**: 177 meV per atom
**SG**: P1, No. 1
**VASP energy**: -6.19 eV/atom
**Total magnetization**: 8.0 μB per formula unit



# 4
MgCr4S10: optimized geometry, PBE.

POSCAR file:
```
MgCr4S10
1.0
4.093 0.000 0.000
0.000 5.904 -0.004
0.000 -0.022 13.922
Mg Cr S
1 4 10
Cartesian
0.072 2.232 6.952
0.077 0.595 2.066
2.122 5.298 4.859
2.122 5.295 9.059
0.076 0.567 11.856
2.123 5.527 2.515
0.076 0.270 4.406
0.076 0.268 9.507
2.122 5.489 11.400
0.076 2.553 11.903
2.120 3.230 8.552
2.121 3.233 5.368
2.120 0.382 6.957
0.077 5.899 -0.004
0.076 2.579 2.022
```

Values from the calculation:
**SG**: P1, No. 1
**VASP energy**: -5.81 eV/atom
**Total magnetization**: 4.0 μB per formula unit



# 5
MgCr2S4: optimized geometry, PBE.

POSCAR file:
```
MgCr2S4
1.0
-1.754 3.038 0.000
0.000 0.000 12.079
1.754 3.038 0.000
Mg Cr S
1 2 4
Cartesian
1.754 3.038 9.059
1.754 3.038 0.117
1.754 3.038 5.922
0.000 4.050 4.730
0.000 4.050 10.643
0.000 2.026 1.309
0.000 2.026 7.476
```

Values from the calculation:
**Energy above the lowest structure with this stoichiometry**: 86 meV per atom
**SG**: P-3m1, No. 164
**VASP energy**: -6.18 eV/atom
**Total magnetization**: 6.0 μB per formula unit



# 6
MgCr2S4: optimized geometry, PBE.

POSCAR file:
```
MgCr2S4
1.0
-1.785 3.091 -0.001
-0.028 -0.019 12.701
1.783 3.090 -0.008
Mg Cr S
1 2 4
Cartesian
-0.029 2.043 3.592
-1.812 3.074 12.601
1.765 3.078 6.611
-0.027 4.105 4.937
-0.031 4.102 11.420
0.003 2.063 1.251
-0.016 2.050 7.752
```

Values from the calculation:
**Energy above the lowest structure with this stoichiometry**: 202 meV per atom
**SG**: Cm, No. 8
**VASP energy**: -6.07 eV/atom
**Total magnetization**: 6.0 μB per formula unit



# 7
MgCr4S8: optimized geometry, PBE.

POSCAR file:
```
MgCr4S8
1.0
-6.370 -1.686 2.626
-1.050 -6.375 2.611
-0.757 -0.868 6.874
Mg Cr S
1 4 8
Cartesian
-0.937 -1.125 1.530
-4.128 -4.557 6.191
-7.229 -5.311 7.379
-4.476 -4.957 9.350
-4.611 -7.486 7.391
-2.995 -5.844 7.777
-6.096 -6.618 8.993
-5.605 -3.636 7.771
-5.744 -6.213 5.772
-2.180 -2.332 3.183
-4.929 -3.110 4.377
-2.518 -2.728 6.279
-2.652 -5.211 4.362
```

Values from the calculation:
**Energy above the lowest structure with this stoichiometry**: 12 meV per atom
**SG**: Cm, No. 8
**VASP energy**: -6.36 eV/atom
**Total magnetization**: 10.0 μB per formula unit



# 8
MgScCrS4: optimized geometry, PBE.

POSCAR file:
```
MgScCrS4
1.0
-3.033 -5.271 4.236
2.899 -1.549 6.631
-3.651 1.848 6.168
Mg Sc Cr S
2 2 2 8
Cartesian
-3.309 -4.346 14.913
-0.475 -0.626 2.123
-1.892 -2.486 8.518
-0.376 0.150 6.399
-0.067 -3.409 5.434
-3.342 -1.712 5.203
-2.752 -3.585 12.620
-2.736 -0.451 7.204
0.392 -2.073 7.425
-2.362 -3.699 6.274
-4.176 -2.899 9.610
-1.422 -1.272 10.761
-1.032 -1.387 4.416
-1.048 -4.521 9.831
```

Values from the calculation:
**SG**: Imma, No. 74
**VASP energy**: -6.20 eV/atom
**Total magnetization**: 3.0 μB per formula unit



# 9
Mg2Sc3CrS8: optimized geometry, PBE.

POSCAR file:
```
Mg2Sc3CrS8
1.0
6.488 0.000 3.746
2.163 6.075 3.746
0.000 0.000 7.492
Mg Sc Cr S
2 3 1 8
Cartesian
7.569 5.322 13.110
1.081 0.752 1.873
4.325 3.037 7.491
4.325 3.037 11.237
1.081 3.037 5.619
3.244 0.000 5.618
6.392 4.585 11.072
2.258 1.490 7.326
3.244 4.413 5.619
5.216 1.490 5.619
5.406 1.662 9.364
3.435 4.585 9.364
2.258 1.490 3.911
6.392 4.585 7.657
```

Values from the calculation:
**SG**: R-3m, No. 166
**VASP energy**: -6.18 eV/atom
**Total magnetization**: 3.0 μB per formula unit



# 10
Mg2ScCr3S8: optimized geometry, PBE.

POSCAR file:
```
Mg2ScCr3S8
1.0
6.329 -0.008 3.641
2.102 5.969 3.641
-0.011 -0.008 7.301
Mg Sc Cr S
2 1 3 8
Cartesian
7.372 5.213 12.770
1.047 0.740 1.813
4.210 2.977 7.291
4.205 2.972 10.942
1.046 2.980 5.470
3.157 -0.007 5.472
6.198 4.383 10.736
2.129 1.505 7.080
3.108 4.275 5.384
5.067 1.505 5.384
5.311 1.678 9.199
3.352 4.448 9.199
2.221 1.570 3.847
6.290 4.448 7.503
```

Values from the calculation:
**SG**: R-3m, No. 166
**VASP energy**: -6.21 eV/atom
**Total magnetization**: 9.0 μB per formula unit



# 11
Mg2Ti3CrS8: optimized geometry, PBE.

POSCAR file:
```
Mg2Ti3CrS8
1.0
0.960 -2.798 6.616
-0.667 -7.290 0.992
5.897 -3.955 1.444
Mg Ti Cr S
2 3 1 8
Cartesian
5.412 -12.297 7.917
0.778 -1.745 1.135
3.094 -7.022 4.526
6.043 -8.998 5.247
3.574 -8.420 7.833
3.426 -3.376 4.028
4.556 -10.388 6.674
4.305 -5.445 3.030
1.292 -7.021 2.804
2.067 -4.921 5.372
4.897 -7.020 6.247
4.121 -9.123 3.681
1.635 -3.655 2.379
1.886 -8.600 6.021
```

Values from the calculation:
**SG**: Cm, No. 8
**VASP energy**: -6.19 eV/atom
**Total magnetization**: 6.0 μB per formula unit



# 12
MgTiCrS4: optimized geometry, PBE.

POSCAR file:
```
MgTiCrS4
1.0
-2.622 1.077 6.615
4.081 3.463 4.964
-1.870 6.745 2.070
Mg Ti Cr S
2 2 2 8
Cartesian
-0.356 9.880 11.942
-0.055 1.405 1.707
-0.206 5.642 6.825
1.106 5.104 3.517
0.730 2.270 5.789
1.835 7.373 9.306
-0.291 8.336 10.055
-0.990 6.009 4.497
1.759 4.492 5.833
-1.291 3.430 6.546
-2.171 6.793 7.816
0.879 7.855 7.103
-0.121 2.949 3.594
0.579 5.277 9.153
```

Values from the calculation:
**SG**: Imma, No. 74
**VASP energy**: -6.20 eV/atom
**Total magnetization**: 4.0 μB per formula unit



| no. | theoretical density (Mg/m³) |
| --- | --- |
| 1 | 3.21 |
| 2 | 2.74 |
| 3 | 2.70 |
| 4 | 2.73 |
| 5 | 3.31 |
| 6 | 3.04 |
| 7 | 3.31 |
| 8 | 2.89 |
| 9 | 2.77 |
| 10 | 3.04 |
| 11 | 3.01 |
| 12 | 3.05 |